LiFeWClO4 | GGA+U | optimized geometry

- Electronic total energy: -6.3774 eV per atom
- Formation energy: -1.94 eV/atom

a = 5.1332 Å, b = 7.0852 Å, c = 7.1668 Å
α = 90.00°, β = 92.25°, γ = 90.00°
Positions (direct):
O 0.2457 0.7500 0.9390
Cl 0.8096 0.7500 0.2253
Li 0.0007 0.5058 0.9954
O 0.6595 0.2500 0.4638
O 0.2943 0.4591 0.2091
Cl 0.1915 0.2500 0.7789
O 0.7063 0.9575 0.7947
Li 0.0007 0.9943 0.9954
Fe 0.3158 0.7500 0.2499
O 0.7063 0.5425 0.7947
O 0.3446 0.7500 0.5369
O 0.7463 0.2500 0.0587
W 0.4990 0.2500 0.2363
W 0.5000 0.7500 0.7650
O 0.2943 0.0409 0.2091
Fe 0.6854 0.2500 0.7481